Entry from the Materials Project: a geometry-optimized CsErTa6Cl18 structure (PBE).

Values from the calculation:
Calculated total energy, eV/atom: -5.7135
Magnetic moment, μB per formula unit: 0.1
Symmetry: P-31c, No. 163
Corrected total energy (MP2020 scheme), eV per atom: -6.14

POSCAR file:
```
CsErTa6Cl18
1.0
4.7040 -8.1476 0.0000
4.7040 8.1476 0.0000
0.0000 0.0000 17.4772
Cs Er Ta Cl
2 2 12 36
Direct
0.3333 0.6667 0.7500
0.6667 0.3333 0.2500
0.6667 0.3333 0.7500
0.3333 0.6667 0.2500
0.0409 0.1940 0.0673
0.1532 0.9591 0.0673
0.8060 0.9591 0.4327
0.8468 0.0409 0.9327
0.8468 0.8060 0.5673
0.1940 0.0409 0.5673
0.9591 0.1532 0.5673
0.0409 0.8468 0.4327
0.1532 0.1940 0.4327
0.1940 0.1532 0.9327
0.8060 0.8468 0.0673
0.9591 0.8060 0.9327
0.1849 0.9516 0.8401
0.8619 0.5849 0.4986
0.2333 0.1849 0.1599
0.7230 0.5849 0.0014
0.1849 0.2333 0.6599
0.2770 0.8619 0.5014
0.7230 0.1381 0.4986
0.3558 0.9081 0.1618
0.1381 0.4151 0.5014
0.6442 0.0919 0.8382
0.4477 0.3558 0.8382
0.8151 0.0484 0.1599
0.5849 0.8619 0.9986
0.0919 0.6442 0.3382
0.1381 0.7230 0.9986
0.4151 0.2770 0.4986
0.0484 0.2333 0.8401
0.2770 0.4151 0.9986
0.8151 0.7667 0.3401
0.9516 0.1849 0.3401
0.3558 0.4477 0.3382
0.7667 0.9516 0.6599
0.5523 0.9081 0.3382
0.9516 0.7667 0.1599
0.4151 0.1381 0.0014
0.0484 0.8151 0.6599
0.5523 0.6442 0.1618
0.9081 0.3558 0.6618
0.6442 0.5523 0.6618
0.4477 0.0919 0.6618
0.2333 0.0484 0.3401
0.9081 0.5523 0.8382
0.5849 0.7230 0.5014
0.8619 0.2770 0.0014
0.7667 0.8151 0.8401
0.0919 0.4477 0.1618
```

Entry from the Materials Project: a geometry-optimized K4Ge2B8H2O19 structure (PBE).

Values from the calculation:
Calculated total energy, eV/atom: -6.9696
Magnetic moment, μB per formula unit: 0.0
Symmetry: C2/c, No. 15
Corrected total energy (MP2020 scheme), eV per atom: -7.34

POSCAR file:
```
K4Ge2B8H2O19
1.0
-1.3917 5.2791 -4.2074
2.7581 -5.9114 -2.6838
-19.2708 -7.0425 -2.4623
K Ge B H O
8 4 16 4 38
Direct
0.0285 0.7188 0.2026
0.3097 0.2812 0.2974
0.9715 0.2812 0.7974
0.6903 0.7188 0.7026
0.2783 0.7389 0.0126
0.5394 0.2611 0.4874
0.7217 0.2611 0.9874
0.4606 0.7389 0.5126
0.6636 0.0416 0.1755
0.6219 0.9584 0.3245
0.3364 0.9584 0.8245
0.3781 0.0416 0.6755
0.5135 0.5886 0.1493
0.9249 0.4114 0.3507
0.4865 0.4114 0.8507
0.0751 0.5886 0.6493
0.4055 0.2144 0.1160
0.1911 0.7856 0.3840
0.5945 0.7856 0.8840
0.8089 0.2144 0.6160
0.1204 0.2980 0.1465
0.8224 0.7020 0.3535
0.8796 0.7020 0.8535
0.1776 0.2980 0.6465
0.1680 0.2401 0.0314
0.9279 0.7599 0.4686
0.8320 0.7599 0.9686
0.0721 0.2401 0.5314
0.8176 0.7838 0.0666
0.0338 0.2162 0.4334
0.1824 0.2162 0.9334
0.9662 0.7838 0.5666
0.2132 0.1543 0.1567
0.0589 0.8457 0.3433
0.7868 0.8457 0.8433
0.9411 0.1543 0.6567
0.9347 0.2561 0.1898
0.6786 0.7439 0.3102
0.0653 0.7439 0.8102
0.3214 0.2561 0.6898
0.5184 0.0000 0.2500
0.4816 0.0000 0.7500
0.6837 0.8066 0.1497
0.8771 0.1934 0.3503
0.3163 0.1934 0.8503
0.1229 0.8066 0.6497
0.5831 0.4407 0.1347
0.1424 0.5593 0.3653
0.4169 0.5593 0.8653
0.8576 0.4407 0.6347
0.8970 0.7542 0.0321
0.1428 0.2458 0.4679
0.1030 0.2458 0.9679
0.8572 0.7542 0.5321
0.4949 0.0623 0.1160
0.4325 0.9377 0.3840
0.5051 0.9377 0.8840
0.5675 0.0623 0.6160
0.9524 0.7183 0.9229
0.2342 0.2817 0.5771
0.0476 0.2817 0.0771
0.7658 0.7183 0.4229
0.2966 0.5345 0.1599
0.7622 0.4655 0.3401
0.7034 0.4655 0.8401
0.2378 0.5345 0.6599
0.6545 0.7883 0.9549
0.8662 0.2117 0.5451
0.3455 0.2117 0.0451
0.1338 0.7883 0.4549
```

Entry from the Materials Project: a geometry-optimized CaCu2P4O14 structure (PBE).

Values from the calculation:
Calculated total energy, eV/atom: -6.6761
Magnetic moment, μB per formula unit: 0.0
Symmetry: P-1, No. 2
Corrected total energy (MP2020 scheme), eV per atom: -7.13

POSCAR file:
```
CaCu2P4O14
1.0
5.4189 0.0000 0.0000
-0.0298 7.9915 0.0000
-0.7985 -0.0462 12.8519
Ca Cu P O
2 4 8 28
Direct
0.7051 0.6844 0.7307
0.2949 0.3156 0.2693
0.2742 0.3591 0.6194
0.2342 0.8605 0.8788
0.7258 0.6409 0.3806
0.7658 0.1395 0.1212
0.8147 0.3033 0.4874
0.6903 0.8010 0.0116
0.1853 0.6967 0.5126
0.3097 0.1990 0.9884
0.2647 0.9703 0.6673
0.2295 0.4739 0.8301
0.7353 0.0297 0.3327
0.7705 0.5261 0.1699
0.7003 0.3243 0.5891
0.8039 0.7980 0.9078
0.2997 0.6757 0.4109
0.1961 0.2020 0.0922
0.5945 0.1638 0.9927
0.8988 0.6632 0.5134
0.4055 0.8362 0.0073
0.1012 0.3368 0.4866
0.9628 0.4796 0.7940
0.5295 0.9435 0.7043
0.0372 0.5204 0.2060
0.4705 0.0565 0.2957
0.2726 0.3866 0.9413
0.2170 0.8880 0.5525
0.7274 0.6134 0.0587
0.7830 0.1120 0.4475
0.6454 0.3499 0.1559
0.8350 0.8511 0.3444
0.3546 0.6501 0.8441
0.1650 0.1489 0.6556
0.6839 0.4047 0.3951
0.8169 0.9114 0.0984
0.3161 0.5953 0.6049
0.1831 0.0886 0.9016
0.9181 0.1223 0.2618
0.5908 0.6143 0.2426
0.0819 0.8777 0.7382
0.4092 0.3857 0.7574
```

Entry from the Materials Project: a geometry-optimized TePOs structure (PBE).

Values from the calculation:
Calculated total energy, eV/atom: -6.7317
Magnetic moment, μB per formula unit: 0.0
Symmetry: P2_1/c, No. 14

POSCAR file:
```
TePOs
1.0
3.1834 4.2260 -3.2575
4.2405 -4.3273 -1.4698
-4.7617 0.3316 -4.2232
Te P Os
4 4 4
Direct
0.6259 0.8339 0.6947
0.3741 0.1661 0.3053
0.1259 0.1661 0.8053
0.8741 0.8339 0.1947
0.3665 0.6377 0.8929
0.6335 0.3623 0.1071
0.8665 0.3623 0.6071
0.1335 0.6377 0.3929
0.0192 0.7503 0.7868
0.9808 0.2497 0.2132
0.5192 0.2497 0.7132
0.4808 0.7503 0.2868
```

Entry from the Materials Project: a geometry-optimized Tm3Si structure (PBE).

Values from the calculation:
Calculated total energy, eV/atom: -4.9514
Magnetic moment, μB per formula unit: 0.0
Symmetry: P6_3/mmc, No. 194
Corrected total energy (MP2020 scheme), eV per atom: -4.93

POSCAR file:
```
Tm3Si
1.0
-2.5665 3.7423 4.6792
-2.3243 -6.0050 -1.0122
3.4104 -1.8902 3.3823
Tm Si
6 2
Direct
0.1744 0.3489 0.2500
0.6511 0.8256 0.2500
0.1744 0.8256 0.2500
0.8256 0.6511 0.7500
0.3489 0.1744 0.7500
0.8256 0.1744 0.7500
0.3333 0.6667 0.7500
0.6667 0.3333 0.2500
```

Entry from the Materials Project: a geometry-optimized MgSi2 structure (PBE).

Values from the calculation:
Calculated total energy, eV/atom: -4.0412
Magnetic moment, μB per formula unit: 0.0
Symmetry: P-1, No. 2
Corrected total energy (MP2020 scheme), eV per atom: -3.99

POSCAR file:
```
MgSi2
1.0
-2.4443 2.8152 -0.1293
-4.8477 -1.6939 1.6618
1.2866 3.8816 11.2092
Mg Si
4 8
Direct
0.6990 0.9192 0.8196
0.3010 0.0808 0.1804
0.8109 0.9449 0.3905
0.1891 0.0551 0.6095
0.5982 0.5187 0.1134
0.4018 0.4813 0.8866
0.4511 0.4422 0.6885
0.5489 0.5578 0.3115
0.9882 0.2221 0.9634
0.0118 0.7779 0.0366
0.0988 0.3665 0.4129
0.9012 0.6335 0.5871
```

Entry from the Materials Project: a geometry-optimized DyTe3 structure (PBE).

Values from the calculation:
Calculated total energy, eV/atom: -4.4341
Symmetry: Cmcm, No. 63
Corrected total energy (MP2020 scheme), eV per atom: -4.75

POSCAR file:
```
DyTe3
1.0
4.0912 12.3894 -1.7513
-5.7287 -11.6458 -2.2042
-3.6745 1.4674 1.7971
Dy Te
2 6
Direct
0.1698 0.8302 0.7500
0.8302 0.1698 0.2500
0.9254 0.0746 0.7500
0.0746 0.9254 0.2500
0.5747 0.4253 0.7500
0.4253 0.5747 0.2500
0.2936 0.7064 0.7500
0.7064 0.2936 0.2500
```

Entry from the Materials Project: a geometry-optimized BaGa2O4 structure (PBE).

Values from the calculation:
Calculated total energy, eV/atom: -6.1872
Magnetic moment, μB per formula unit: 0.0
Symmetry: P6_3, No. 173
Corrected total energy (MP2020 scheme), eV per atom: -6.58

POSCAR file:
```
BaGa2O4
1.0
-9.9330 1.4202 -4.1553
1.1739 -2.8295 10.4194
0.2680 8.6910 2.3300
Ba Ga O
8 16 32
Direct
0.4958 0.5159 0.2246
0.0202 0.5042 0.2246
0.4841 0.9798 0.2246
0.5042 0.4841 0.7246
0.9798 0.4958 0.7246
0.5159 0.0202 0.7246
0.0000 0.0000 0.2367
0.0000 0.0000 0.7367
0.8467 0.1732 0.0274
0.3265 0.1533 0.0274
0.8268 0.6735 0.0274
0.1533 0.8268 0.5274
0.6735 0.8467 0.5274
0.1732 0.3265 0.5274
0.8444 0.1740 0.4162
0.3296 0.1556 0.4162
0.8260 0.6704 0.4162
0.1556 0.8260 0.9162
0.6704 0.8444 0.9162
0.1740 0.3296 0.9162
0.6667 0.3333 0.9421
0.3333 0.6667 0.4421
0.6667 0.3333 0.5217
0.3333 0.6667 0.0217
0.6774 0.6769 0.9248
0.9995 0.3226 0.9248
0.3231 0.0005 0.9248
0.3226 0.3231 0.4248
0.0005 0.6774 0.4248
0.6769 0.9995 0.4248
0.3316 0.5006 0.9730
0.1690 0.6684 0.9730
0.4994 0.8310 0.9730
0.6684 0.4994 0.4730
0.8310 0.3316 0.4730
0.5006 0.1690 0.4730
0.1666 0.1714 0.0029
0.0047 0.8334 0.0029
0.8286 0.9953 0.0029
0.8334 0.8286 0.5029
0.9953 0.1666 0.5029
0.1714 0.0047 0.5029
0.9120 0.2208 0.2215
0.3088 0.0880 0.2215
0.7792 0.6912 0.2215
0.0880 0.7792 0.7215
0.6912 0.9120 0.7215
0.2208 0.3088 0.7215
0.6667 0.3333 0.7325
0.3333 0.6667 0.2325
0.6753 0.1717 0.9951
0.4964 0.3247 0.9951
0.8283 0.5036 0.9951
0.3247 0.8283 0.4951
0.5036 0.6753 0.4951
0.1717 0.4964 0.4951
```

Record order is preserved below.
Energy of formation from the pure elements: -1.91, -2.54, -2.32, -0.14, -0.22, 0.16, -1.24, -2.61 eV/atom